This record from Materials Project describes MgB6O15 after structural relaxation. The functional is GGA-PBE.

Calculated values
Formation enthalpy at 0 K, eV per atom: -1.535
ρ, g/cm3: 2.1
E_tot, eV per atom: -6.693
V, A^3/atom: 12.0

Cell: 12.152 21.900 7.907 Å, 90.00 90.00 90.00°
Element x y z (fractional)
O 0.452 0.333 0.044
Mg 0.415 0.378 0.569
O 0.662 0.707 0.270
B 0.328 0.763 0.236
B 0.444 0.109 0.477
O 0.927 0.765 0.188
O 0.078 0.363 0.982
O 0.097 0.125 0.779
B 0.013 0.177 0.805
O 0.338 0.207 0.230
Mg 0.085 0.878 0.569
B 0.966 0.935 0.225
O 0.743 0.108 0.442
B 0.838 0.864 0.382
O 0.543 0.570 0.631
O 0.288 0.518 0.164
B 0.944 0.109 0.023
O 0.788 0.982 0.836
B 0.838 0.636 0.882
O 0.573 0.265 0.188
O 0.781 0.694 0.864
O 0.162 0.793 0.730
B 0.828 0.763 0.264
O 0.912 0.104 0.189
O 0.548 0.833 0.456
O 0.766 0.794 0.729
O 0.788 0.518 0.336
Mg 0.585 0.622 0.431
O 0.212 0.482 0.664
O 0.243 0.108 0.058
B 0.944 0.391 0.523
O 0.043 0.930 0.369
O 0.738 0.086 0.907
B 0.711 0.029 0.844
B 0.013 0.323 0.305
Mg 0.915 0.378 0.931
O 0.422 0.863 0.982
O 0.922 0.863 0.518
O 0.548 0.667 0.956
B 0.987 0.823 0.195
O 0.257 0.892 0.558
O 0.476 0.442 0.069
O 0.543 0.930 0.131
O 0.266 0.706 0.271
O 0.757 0.892 0.942
O 0.412 0.104 0.311
O 0.427 0.735 0.812
O 0.403 0.625 0.779
B 0.289 0.971 0.156
O 0.024 0.558 0.569
B 0.711 0.471 0.344
O 0.559 0.675 0.652
B 0.556 0.891 0.523
O 0.838 0.293 0.770
O 0.762 0.586 0.907
O 0.441 0.325 0.348
O 0.262 0.586 0.593
O 0.719 0.306 0.364
B 0.534 0.065 0.725
O 0.457 0.430 0.369
O 0.743 0.392 0.942
B 0.444 0.391 0.977
O 0.524 0.558 0.931
B 0.172 0.237 0.736
O 0.219 0.194 0.636
O 0.288 0.982 0.664
O 0.719 0.194 0.864
O 0.457 0.070 0.869
O 0.088 0.604 0.311
O 0.257 0.608 0.058
O 0.922 0.637 0.018
O 0.452 0.167 0.544
O 0.073 0.265 0.312
O 0.712 0.482 0.836
O 0.976 0.058 0.931
O 0.762 0.914 0.407
O 0.059 0.825 0.348
O 0.578 0.137 0.018
O 0.162 0.707 0.230
O 0.281 0.806 0.136
O 0.712 0.018 0.336
O 0.088 0.896 0.811
Mg 0.415 0.122 0.069
O 0.957 0.070 0.631
O 0.766 0.706 0.229
O 0.738 0.414 0.407
B 0.034 0.065 0.775
B 0.487 0.823 0.305
O 0.266 0.794 0.771
O 0.927 0.735 0.688
O 0.073 0.235 0.812
O 0.781 0.806 0.364
O 0.441 0.175 0.848
O 0.903 0.875 0.221
B 0.211 0.029 0.656
B 0.662 0.136 0.882
B 0.534 0.435 0.225
O 0.281 0.694 0.636
O 0.059 0.675 0.848
O 0.611 0.016 0.771
B 0.056 0.891 0.977
Mg 0.085 0.622 0.069
O 0.048 0.833 0.044
O 0.941 0.325 0.152
O 0.734 0.206 0.229
O 0.338 0.293 0.730
O 0.234 0.294 0.771
B 0.556 0.609 0.023
B 0.966 0.565 0.725
O 0.941 0.175 0.652
O 0.262 0.914 0.093
O 0.559 0.825 0.152
O 0.422 0.637 0.482
O 0.588 0.896 0.689
O 0.662 0.793 0.770
O 0.912 0.396 0.689
B 0.828 0.737 0.764
B 0.162 0.364 0.118
B 0.987 0.677 0.695
O 0.238 0.414 0.093
O 0.403 0.875 0.279
O 0.389 0.984 0.229
B 0.789 0.529 0.844
O 0.889 0.984 0.271
B 0.289 0.529 0.656
B 0.211 0.471 0.156
Mg 0.585 0.878 0.931
O 0.212 0.018 0.164
O 0.412 0.396 0.811
O 0.238 0.086 0.593
B 0.466 0.935 0.275
Mg 0.915 0.122 0.431
O 0.024 0.942 0.069
B 0.662 0.364 0.382
B 0.672 0.237 0.764
O 0.389 0.516 0.729
O 0.597 0.375 0.221
B 0.328 0.737 0.736
O 0.578 0.363 0.518
O 0.734 0.294 0.729
B 0.034 0.435 0.275
O 0.838 0.207 0.270
B 0.513 0.323 0.195
O 0.597 0.125 0.721
B 0.338 0.864 0.118
O 0.952 0.333 0.456
B 0.789 0.971 0.344
O 0.427 0.765 0.312
O 0.524 0.942 0.431
O 0.111 0.016 0.729
O 0.243 0.392 0.558
B 0.466 0.565 0.775
B 0.513 0.177 0.695
O 0.952 0.167 0.956
O 0.111 0.484 0.229
O 0.889 0.516 0.771
O 0.957 0.430 0.131
O 0.976 0.442 0.431
O 0.048 0.667 0.544
O 0.219 0.306 0.136
O 0.611 0.484 0.271
O 0.097 0.375 0.279
O 0.476 0.058 0.569
O 0.078 0.137 0.482
B 0.172 0.263 0.236
B 0.672 0.263 0.264
O 0.573 0.235 0.688
O 0.043 0.570 0.869
B 0.338 0.636 0.618
B 0.056 0.609 0.477
B 0.487 0.677 0.805
O 0.757 0.608 0.442
O 0.588 0.604 0.189
O 0.903 0.625 0.721
B 0.162 0.136 0.618
O 0.234 0.206 0.271



This record from Materials Project describes Mg2BO4 after structural relaxation. The functional is GGA-PBE.

Calculated values
Formation enthalpy at 0 K, eV per atom: -2.765
ρ, g/cm3: 2.9
E_tot, eV per atom: -6.612
V, A^3/atom: 10.1

Cell: 3.124 9.393 9.650 Å, 90.00 90.00 90.00°
Element x y z (fractional)
O 0.750 0.650 0.974
B 0.750 0.629 0.832
O 0.750 0.752 0.247
Mg 0.250 0.804 0.607
Mg 0.750 0.933 0.863
O 0.250 0.248 0.753
O 0.250 0.506 0.223
B 0.250 0.371 0.168
O 0.250 0.994 0.723
O 0.750 0.494 0.777
O 0.750 0.105 0.997
O 0.750 0.850 0.474
O 0.250 0.895 0.003
B 0.250 0.129 0.668
Mg 0.750 0.567 0.363
O 0.250 0.605 0.503
O 0.750 0.395 0.497
O 0.250 0.252 0.253
O 0.750 0.748 0.747
B 0.750 0.871 0.332
Mg 0.250 0.067 0.137
O 0.250 0.150 0.526
Mg 0.750 0.304 0.893
O 0.750 0.006 0.277
Mg 0.250 0.433 0.637
O 0.250 0.350 0.026
Mg 0.250 0.696 0.107
Mg 0.750 0.196 0.393



This record from Materials Project describes Mg3B11O24 after structural relaxation. The functional is GGA-PBE.

Calculated values
Formation enthalpy at 0 K, eV per atom: -2.349
ρ, g/cm3: 2.3
E_tot, eV per atom: -7.100
V, A^3/atom: 10.8

Cell: 9.227 10.744 16.556 Å, 90.00 90.00 90.00°
Element x y z (fractional)
O 0.034 0.963 0.275
Mg 0.059 0.087 0.832
B 0.814 0.931 0.913
O 0.919 0.245 0.817
O 0.067 0.844 0.387
O 0.737 0.021 0.875
O 0.541 0.424 0.614
Mg 0.438 0.250 0.000
O 0.169 0.302 0.674
O 0.418 0.873 0.954
O 0.237 0.479 0.375
O 0.959 0.576 0.114
O 0.168 0.840 0.943
B 0.814 0.569 0.087
O 0.332 0.340 0.557
Mg 0.059 0.413 0.168
B 0.957 0.301 0.896
O 0.419 0.255 0.317
Mg 0.441 0.587 0.668
O 0.950 0.708 0.933
B 0.222 0.762 0.211
O 0.050 0.292 0.067
O 0.752 0.670 0.780
B 0.299 0.622 0.102
O 0.581 0.745 0.683
O 0.252 0.830 0.280
O 0.966 0.463 0.275
O 0.082 0.127 0.454
B 0.278 0.238 0.711
B 0.201 0.122 0.398
O 0.668 0.840 0.557
O 0.248 0.330 0.220
B 0.957 0.199 0.104
B 0.299 0.878 0.898
O 0.831 0.802 0.674
O 0.534 0.537 0.775
B 0.278 0.262 0.289
B 0.543 0.801 0.604
B 0.360 0.750 0.500
O 0.933 0.156 0.613
B 0.722 0.738 0.711
B 0.701 0.378 0.898
O 0.763 0.521 0.625
Mg 0.938 0.250 0.500
O 0.918 0.627 0.454
O 0.418 0.627 0.046
O 0.240 0.349 0.970
B 0.140 0.250 0.000
B 0.186 0.069 0.087
O 0.260 0.849 0.530
B 0.201 0.378 0.602
Mg 0.441 0.913 0.332
O 0.459 0.576 0.386
O 0.534 0.963 0.225
B 0.357 0.408 0.176
O 0.737 0.479 0.125
B 0.722 0.762 0.289
O 0.050 0.208 0.933
O 0.761 0.495 0.368
B 0.686 0.069 0.413
O 0.831 0.698 0.326
B 0.186 0.431 0.913
O 0.832 0.160 0.057
O 0.748 0.170 0.720
O 0.081 0.745 0.817
O 0.832 0.340 0.943
B 0.543 0.699 0.396
O 0.041 0.076 0.114
O 0.582 0.373 0.954
B 0.778 0.238 0.789
O 0.760 0.849 0.970
O 0.034 0.537 0.725
O 0.331 0.698 0.174
O 0.261 0.005 0.868
O 0.433 0.344 0.113
Mg 0.562 0.750 0.000
O 0.763 0.979 0.375
O 0.248 0.170 0.780
O 0.450 0.792 0.433
B 0.799 0.622 0.398
O 0.669 0.302 0.826
O 0.261 0.495 0.132
O 0.260 0.651 0.470
O 0.740 0.349 0.530
O 0.252 0.670 0.720
O 0.668 0.660 0.443
B 0.043 0.801 0.896
O 0.752 0.830 0.220
B 0.314 0.569 0.413
Mg 0.559 0.413 0.332
O 0.919 0.255 0.183
B 0.357 0.092 0.824
O 0.760 0.651 0.030
B 0.643 0.908 0.176
O 0.263 0.979 0.125
B 0.314 0.931 0.587
O 0.933 0.344 0.387
O 0.450 0.708 0.567
O 0.240 0.151 0.030
O 0.550 0.292 0.433
O 0.669 0.198 0.174
O 0.739 0.505 0.868
O 0.041 0.424 0.886
O 0.582 0.127 0.046
O 0.581 0.755 0.317
B 0.640 0.250 0.500
O 0.567 0.656 0.887
O 0.959 0.924 0.886
O 0.237 0.021 0.625
O 0.168 0.660 0.057
O 0.950 0.792 0.067
O 0.239 0.505 0.632
Mg 0.941 0.913 0.168
B 0.457 0.301 0.604
O 0.761 0.005 0.632
B 0.143 0.908 0.324
Mg 0.941 0.587 0.832
Mg 0.559 0.087 0.668
O 0.419 0.245 0.683
O 0.082 0.373 0.546
O 0.567 0.844 0.113
O 0.239 0.995 0.368
Mg 0.062 0.750 0.500
B 0.043 0.699 0.104
O 0.466 0.463 0.225
O 0.541 0.076 0.386
O 0.466 0.037 0.775
O 0.748 0.330 0.280
B 0.143 0.592 0.676
B 0.799 0.878 0.602
O 0.332 0.160 0.443
B 0.457 0.199 0.396
O 0.081 0.755 0.183
O 0.739 0.995 0.132
B 0.778 0.262 0.211
B 0.857 0.408 0.324
B 0.857 0.092 0.676
O 0.966 0.037 0.725
B 0.860 0.750 0.000
O 0.433 0.156 0.887
O 0.263 0.521 0.875
O 0.550 0.208 0.567
B 0.643 0.592 0.824
O 0.331 0.802 0.826
B 0.701 0.122 0.102
B 0.222 0.738 0.789
O 0.067 0.656 0.613
O 0.740 0.151 0.470
B 0.686 0.431 0.587
O 0.459 0.924 0.614
O 0.169 0.198 0.326
O 0.918 0.873 0.546



This record from Materials Project describes Mg3BO6 after structural relaxation. The functional is GGA-PBE.

Calculated values
Formation enthalpy at 0 K, eV per atom: -2.355
ρ, g/cm3: 2.6
E_tot, eV per atom: -6.060
V, A^3/atom: 11.5

Cell: 9.100 9.100 3.206 Å, 90.00 90.00 120.00°
Element x y z (fractional)
O 0.094 0.316 0.250
O 0.906 0.684 0.750
O 0.843 0.404 0.250
O 0.404 0.561 0.750
Mg 0.631 0.967 0.250
O 0.316 0.222 0.750
Mg 0.664 0.631 0.750
Mg 0.369 0.033 0.750
O 0.596 0.439 0.250
O 0.561 0.157 0.250
O 0.157 0.596 0.750
O 0.684 0.778 0.250
O 0.222 0.906 0.250
B 0.333 0.667 0.750
O 0.439 0.843 0.750
B 0.667 0.333 0.250
Mg 0.967 0.336 0.750
O 0.778 0.094 0.750
Mg 0.033 0.664 0.250
Mg 0.336 0.369 0.250



- Number 1 is which compound?
  MgB6O15



- What is the formation enthalpy at 0 K in the first record?
  -1.535 eV per atom



- The lowest V belongs to which entry?
  Mg2BO4



- Number 3 is which compound?
  Mg3B11O24